Run w
Computed, not measured: a relaxed structure of LiMnP2O7 at the PBE with a Hubbard U level of DFT.

Unit cell a=12.9531 b=5.1323 c=9.2340 alpha=59.50 beta=90.00 gamma=90.00
Fractional positions:
Li1 0.1738 0.0687 0.6427
Li2 0.8262 0.9313 0.3573
Li3 0.6738 0.9313 0.8573
Li4 0.3262 0.0687 0.1427
O1 0.6830 0.5271 0.8823
O2 0.7369 0.2961 0.6689
O3 0.3925 0.2573 0.5730
O4 0.8925 0.7427 0.9270
O5 0.2369 0.7039 0.8311
O6 0.4221 0.8085 0.8646
O7 0.0779 0.8085 0.3646
O8 0.0280 0.7212 0.7330
O9 0.2206 0.0450 0.4507
O10 0.7206 0.9550 0.0493
O11 0.2794 0.0450 0.9507
O12 0.9394 0.9479 0.1473
O13 0.4720 0.7212 0.2330
O14 0.2631 0.7039 0.3311
O15 0.8170 0.5271 0.3823
O16 0.5280 0.2788 0.7670
O17 0.1830 0.4729 0.6177
O18 0.3170 0.4729 0.1177
O19 0.7631 0.2961 0.1689
O20 0.4394 0.0521 0.3527
O21 0.5606 0.9479 0.6473
O22 0.6075 0.7427 0.4270
O23 0.5779 0.1915 0.1354
O24 0.9221 0.1915 0.6354
O25 0.1075 0.2573 0.0730
O26 0.7794 0.9550 0.5493
O27 0.0606 0.0521 0.8527
O28 0.9720 0.2788 0.2670
Mn1 0.1418 0.3766 0.8458
Mn2 0.3582 0.3766 0.3458
Mn3 0.6418 0.6234 0.6542
Mn4 0.8582 0.6234 0.1542
P1 0.4775 0.0884 0.7036
P2 0.6918 0.2359 0.0558
P3 0.0225 0.0884 0.2036
P4 0.1918 0.7641 0.4442
P5 0.5225 0.9116 0.2964
P6 0.8082 0.2359 0.5558
P7 0.9775 0.9116 0.7964
P8 0.3082 0.7641 0.9442



Run x
Computed, not measured: a relaxed structure of LiMnP2O7 at the PBE with a Hubbard U level of DFT.

Unit cell a=6.2183 b=7.2869 c=6.2969 alpha=68.96 beta=80.73 gamma=74.43
Fractional positions:
O1 0.3573 0.8631 0.0675
O2 0.2707 0.5350 0.3743
O3 0.3842 0.1692 0.6034
O4 0.7292 0.4650 0.6257
O5 0.0577 0.8656 0.3916
O6 0.6246 0.3290 0.2466
O7 0.0087 0.7538 0.0605
O8 0.9423 0.1345 0.6084
O9 0.2430 0.2746 0.2075
O10 0.9913 0.2462 0.9395
O11 0.3754 0.6710 0.7534
O12 0.7570 0.7255 0.7925
O13 0.6158 0.8307 0.3966
O14 0.6427 0.1368 0.9325
P1 0.8183 0.2400 0.7888
P2 0.3903 0.3067 0.3647
P3 0.1817 0.7600 0.2113
P4 0.6097 0.6933 0.6353
Mn1 0.9430 0.2157 0.2706
Mn2 0.0570 0.7843 0.7294
Li1 0.3333 0.1561 0.9117
Li2 0.6667 0.8438 0.0883



How far above the most stable structure does each one sit? In eV/atom: run w 0.000; run x 0.049.



Run w
Computed, not measured: a relaxed structure of LiMnP2O7 at the PBE with a Hubbard U level of DFT.

Computed properties:
Piezoelectric modulus e_max ... 0.664 C/m2

Unit cell a=5.2514 b=7.0268 c=8.1084 alpha=67.45 beta=91.00 gamma=94.93
Fractional positions:
O1 0.9724 0.0414 0.2337
O2 0.5908 0.0070 0.6871
O3 0.5647 0.5169 0.3264
O4 0.4271 0.4962 0.6829
O5 0.6729 0.8549 0.0179
O6 0.1548 0.3026 0.4757
O7 0.8136 0.7281 0.5191
O8 0.2649 0.3612 0.1574
O9 0.4546 0.0091 0.2968
O10 0.1327 0.6587 0.2163
O11 0.0522 0.9584 0.7951
O12 0.7528 0.6458 0.8437
O13 0.3035 0.1396 0.9819
O14 0.8708 0.3621 0.7556
P1 0.2524 0.1241 0.1735
P2 0.2775 0.4667 0.3036
P3 0.7170 0.5464 0.6936
P4 0.7654 0.8823 0.8293
Li1 0.7291 0.0583 0.4441
Li2 0.2942 0.8494 0.9897
Mn1 0.2116 0.2465 0.7306
Mn2 0.7743 0.7768 0.2679



Run x
Computed, not measured: a relaxed structure of LiMnP2O7 at the PBE with a Hubbard U level of DFT.

Unit cell a=9.7002 b=9.7432 c=11.1862 alpha=78.98 beta=89.51 gamma=89.55
Fractional positions:
P1 0.7090 0.8836 0.8860
P2 0.7918 0.3878 0.8889
P3 0.5611 0.0337 0.2390
P4 0.9303 0.9349 0.2425
P5 0.3403 0.3680 0.4180
P6 0.6422 0.6227 0.5718
P7 0.4452 0.9719 0.7535
P8 0.4261 0.5662 0.7590
P9 0.5692 0.4335 0.2421
P10 0.0772 0.0693 0.7578
P11 0.2124 0.6200 0.1170
P12 0.0544 0.4740 0.7557
P13 0.8554 0.1221 0.5783
P14 0.2880 0.1094 0.1159
P15 0.9403 0.5336 0.2425
P16 0.1547 0.8696 0.4213
O1 0.5909 0.8955 0.7846
O2 0.5594 0.8860 0.2027
O3 0.4201 0.4151 0.7303
O4 0.8494 0.9641 0.5757
O5 0.3417 0.8903 0.8432
O6 0.5610 0.7045 0.4649
O7 0.7857 0.6785 0.5865
O8 0.2005 0.3048 0.3994
O9 0.0662 0.7746 0.5194
O10 0.6720 0.3127 0.8407
O11 0.8371 0.6202 0.1533
O12 0.0879 0.9215 0.7309
O13 0.8585 0.2823 0.0013
O14 0.5792 0.5826 0.2712
O15 0.3478 0.2172 0.0029
O16 0.6487 0.4632 0.5703
O17 0.5635 0.6371 0.6966
O18 0.4080 0.0983 0.2170
O19 0.9323 0.2033 0.4686
O20 0.4267 0.5784 0.8907
O21 0.6529 0.1288 0.1412
O22 0.4222 0.3732 0.2899
O23 0.9496 0.3862 0.2006
O24 0.9143 0.5221 0.3745
O25 0.4227 0.9833 0.6209
O26 0.7298 0.0265 0.9154
O27 0.1508 0.3892 0.8537
O28 0.0785 0.0890 0.8888
O29 0.4251 0.2703 0.5146
O30 0.3035 0.6565 0.6977
O31 0.0861 0.6097 0.2143
O32 0.1636 0.7289 0.0043
O33 0.4602 0.1249 0.7909
O34 0.1687 0.1866 0.1728
O35 0.9191 0.0855 0.2711
O36 0.5950 0.0312 0.3680
O37 0.6573 0.7771 0.9997
O38 0.3301 0.6811 0.1823
O39 0.8230 0.8290 0.3110
O40 0.2351 0.4783 0.0878
O41 0.0875 0.4756 0.6258
O42 0.8309 0.8208 0.8271
O43 0.7084 0.1781 0.5960
O44 0.9067 0.4009 0.7823
O45 0.1967 0.1641 0.6946
O46 0.9132 0.9324 0.1096
O47 0.5880 0.4274 0.1094
O48 0.2575 0.9716 0.0861
O49 0.7647 0.5283 0.9169
O50 0.9354 0.1384 0.7004
O51 0.2928 0.7997 0.4065
O52 0.3287 0.5170 0.4393
O53 0.6798 0.3295 0.3099
O54 0.0415 0.6284 0.7861
O55 0.0775 0.8759 0.2925
O56 0.1684 0.0190 0.4405
Li1 0.5814 0.1628 0.4627
Li2 0.1029 0.3550 0.0475
Li3 0.9026 0.0838 0.9757
Li4 0.9144 0.6667 0.4579
Li5 0.2168 0.6100 0.5487
Li6 0.5856 0.1563 0.9565
Li7 0.2845 0.1097 0.5475
Li8 0.5975 0.5869 0.9790
Mn1 0.7781 0.2827 0.1658
Mn2 0.0678 0.1925 0.3316
Mn3 0.4292 0.6916 0.3310
Mn4 0.9267 0.7979 0.6758
Mn5 0.2173 0.7294 0.8389
Mn6 0.2770 0.2219 0.8400
Mn7 0.5735 0.3007 0.6736
Mn8 0.7239 0.7785 0.1676



How far above the most stable structure does each one sit? In eV/atom: run w 0.000; run x 0.052.



Run w
Computed, not measured: a relaxed structure of LiMn2P2O10 at the PBE with a Hubbard U level of DFT.

Unit cell a=6.6980 b=6.9736 c=7.9727 alpha=89.85 beta=91.03 gamma=116.69
Fractional positions:
O1 0.0607 0.0846 0.3110
O2 0.2653 0.2551 0.8299
O3 0.5661 0.6323 0.7177
O4 0.5552 0.0802 0.8167
O5 0.2839 0.5859 0.9843
O6 0.7946 0.5970 0.4815
O7 0.9473 0.9203 0.6811
O8 0.6996 0.3997 0.0193
O9 0.6542 0.8875 0.4722
O10 0.9230 0.3613 0.7731
O11 0.4529 0.9228 0.1737
O12 0.7678 0.2573 0.3291
O13 0.1915 0.3907 0.5202
O14 0.8672 0.1354 0.0320
O15 0.4300 0.3695 0.2791
O16 0.7337 0.7448 0.1696
O17 0.2301 0.7417 0.6701
O18 0.3631 0.1288 0.5328
O19 0.1467 0.8773 0.9708
O20 0.0731 0.6387 0.2241
Mn1 0.7553 0.5035 0.2493
Mn2 0.2489 0.4982 0.7468
Mn3 0.7515 0.0005 0.2491
Mn4 0.2456 0.9958 0.7526
P1 0.2405 0.7542 0.0843
P2 0.2619 0.2441 0.4189
P3 0.7405 0.7547 0.5839
P4 0.7599 0.2463 0.9181
Li1 0.7032 0.2001 0.5692
Li2 0.2206 0.2724 0.0705



Run x
Computed, not measured: a relaxed structure of LiMn2P2O10 at the PBE with a Hubbard U level of DFT.

Unit cell a=10.3029 b=4.9484 c=7.0025 alpha=72.19 beta=90.00 gamma=90.00
Fractional positions:
O1 0.5675 0.7185 0.5891
O2 0.7216 0.0799 0.2859
O3 0.7839 0.5754 0.7718
O4 0.0759 0.6878 0.0854
O5 0.8166 0.7613 0.1039
O6 0.4262 0.7734 0.9104
O7 0.9274 0.8064 0.4099
O8 0.9546 0.9797 0.7442
O9 0.1869 0.7354 0.3969
O10 0.5759 0.3122 0.9146
O11 0.4274 0.1936 0.5901
O12 0.6869 0.2646 0.6031
O13 0.5416 0.4810 0.2497
O14 0.9262 0.2266 0.0896
O15 0.4546 0.0203 0.2558
O16 0.3166 0.2387 0.8961
O17 0.0416 0.5190 0.7503
O18 0.2839 0.4246 0.2282
O19 0.0675 0.2815 0.4109
O20 0.2216 0.9201 0.7141
Li1 0.9007 0.3779 0.5844
Li2 0.4007 0.6221 0.4156
P1 0.6508 0.4740 0.7228
P2 0.3471 0.0265 0.7800
P3 0.8471 0.9735 0.2200
P4 0.1508 0.5260 0.2772
Mn1 0.9315 0.6186 0.9355
Mn2 0.5719 0.1225 0.4317
Mn3 0.0719 0.8775 0.5683
Mn4 0.4315 0.3814 0.0645



How far above the most stable structure does each one sit? In eV/atom: run w 0.000; run x 0.020.